# PBE ReRuN5Cl7, optimized geometry
# Raw total energy, eV/atom: -4.43
# Space group: P2_1/m
# Spin magnetization, μB/cell: 28.000
data_ReRuN5Cl7
_chemical_formula_sum 'Re4 Ru4 N20 Cl28'
_cell_length_a 11.276
_cell_length_b 8.512
_cell_length_c 15.745
_cell_angle_alpha 90.00
_cell_angle_beta 91.13
_cell_angle_gamma 90.00
_space_group_name_H-M_alt 'P 1'
_space_group_IT_number 1
_space_group_name_Hall 'P 1'
loop_
_atom_site_label
_atom_site_fract_x
_atom_site_fract_y
_atom_site_fract_z
Re1 0.158 0.250 0.366
Re2 0.337 0.250 0.871
Re3 0.663 0.750 0.129
Re4 0.842 0.750 0.634
Ru1 0.150 0.750 0.139
Ru2 0.352 0.750 0.634
Ru3 0.648 0.250 0.366
Ru4 0.850 0.250 0.861
N1 0.004 0.250 0.896
N2 0.160 0.750 0.247
N3 0.171 0.521 0.112
N4 0.171 0.979 0.112
N5 0.219 0.598 0.593
N6 0.219 0.902 0.593
N7 0.324 0.750 0.104
N8 0.336 0.750 0.741
N9 0.450 0.581 0.608
N10 0.450 0.919 0.608
N11 0.550 0.081 0.392
N12 0.550 0.419 0.392
N13 0.664 0.250 0.259
N14 0.676 0.250 0.896
N15 0.781 0.098 0.407
N16 0.781 0.402 0.407
N17 0.829 0.021 0.888
N18 0.829 0.479 0.888
N19 0.840 0.250 0.753
N20 0.996 0.750 0.104
Cl1 0.010 0.250 0.262
Cl2 0.017 0.250 0.469
Cl3 0.152 0.516 0.370
Cl4 0.152 0.984 0.370
Cl5 0.155 0.750 0.970
Cl6 0.193 0.064 0.874
Cl7 0.193 0.436 0.874
Cl8 0.295 0.250 0.261
Cl9 0.308 0.250 0.465
Cl10 0.325 0.250 0.724
Cl11 0.355 0.250 0.015
Cl12 0.356 0.750 0.461
Cl13 0.482 0.061 0.862
Cl14 0.482 0.439 0.862
Cl15 0.518 0.561 0.138
Cl16 0.518 0.939 0.138
Cl17 0.644 0.250 0.539
Cl18 0.645 0.750 0.985
Cl19 0.675 0.750 0.276
Cl20 0.692 0.750 0.535
Cl21 0.705 0.750 0.739
Cl22 0.807 0.564 0.126
Cl23 0.807 0.936 0.126
Cl24 0.845 0.250 0.030
Cl25 0.848 0.016 0.630
Cl26 0.848 0.484 0.630
Cl27 0.983 0.750 0.531
Cl28 0.990 0.750 0.738

# PBE Re2S2NCl11, optimized geometry
# Raw total energy, eV/atom: -4.26
# Space group: C2/c
# Spin magnetization, μB/cell: 8.000
data_Re2S2NCl11
_chemical_formula_sum 'Re4 S4 N2 Cl22'
_cell_length_a 9.148
_cell_length_b 9.148
_cell_length_c 11.951
_cell_angle_alpha 101.87
_cell_angle_beta 101.87
_cell_angle_gamma 93.85
_space_group_name_H-M_alt 'P 1'
_space_group_IT_number 1
_space_group_name_Hall 'P 1'
loop_
_atom_site_label
_atom_site_fract_x
_atom_site_fract_y
_atom_site_fract_z
Re1 0.076 0.729 0.781
Re2 0.271 0.924 0.719
Re3 0.729 0.076 0.281
Re4 0.924 0.271 0.219
S1 0.246 0.602 0.126
S2 0.398 0.754 0.374
S3 0.602 0.246 0.626
S4 0.754 0.398 0.874
N1 0.295 0.705 0.250
N2 0.705 0.295 0.750
Cl1 0.012 0.221 0.048
Cl2 0.024 0.976 0.750
Cl3 0.130 0.494 0.811
Cl4 0.162 0.367 0.329
Cl5 0.169 0.673 0.602
Cl6 0.221 0.012 0.548
Cl7 0.327 0.831 0.898
Cl8 0.367 0.162 0.829
Cl9 0.386 0.442 0.103
Cl10 0.442 0.386 0.603
Cl11 0.494 0.130 0.311
Cl12 0.506 0.870 0.689
Cl13 0.558 0.614 0.397
Cl14 0.614 0.558 0.897
Cl15 0.633 0.838 0.171
Cl16 0.673 0.169 0.102
Cl17 0.779 0.988 0.452
Cl18 0.831 0.327 0.398
Cl19 0.838 0.633 0.671
Cl20 0.870 0.506 0.189
Cl21 0.976 0.024 0.250
Cl22 0.988 0.779 0.952

# PBE SbS2NCl6, optimized geometry
# Raw total energy, eV/atom: -3.53
# Space group: Immm
# Spin magnetization, μB/cell: 0.000
data_SbS2NCl6
_chemical_formula_sum 'Sb1 S2 N1 Cl6'
_cell_length_a 7.351
_cell_length_b 7.351
_cell_length_c 7.351
_cell_angle_alpha 120.68
_cell_angle_beta 112.30
_cell_angle_gamma 96.33
_space_group_name_H-M_alt 'P 1'
_space_group_IT_number 1
_space_group_name_Hall 'P 1'
loop_
_atom_site_label
_atom_site_fract_x
_atom_site_fract_y
_atom_site_fract_z
Sb1 0.000 0.000 0.000
S1 0.317 0.500 0.817
S2 0.683 0.500 0.183
N1 0.500 0.500 0.000
Cl1 0.173 0.410 0.237
Cl2 0.173 0.936 0.763
Cl3 0.294 0.000 0.294
Cl4 0.706 0.000 0.706
Cl5 0.827 0.064 0.237
Cl6 0.827 0.590 0.763

# PBE SbS3N2Cl7, optimized geometry
# Raw total energy, eV/atom: -3.79
# Space group: P2_1/c
# Spin magnetization, μB/cell: 0.141
data_SbS3N2Cl7
_chemical_formula_sum 'Sb8 S24 N16 Cl56'
_cell_length_a 15.420
_cell_length_b 13.237
_cell_length_c 15.006
_cell_angle_alpha 90.00
_cell_angle_beta 91.42
_cell_angle_gamma 90.00
_space_group_name_H-M_alt 'P 1'
_space_group_IT_number 1
_space_group_name_Hall 'P 1'
loop_
_atom_site_label
_atom_site_fract_x
_atom_site_fract_y
_atom_site_fract_z
Sb1 0.056 0.171 0.326
Sb2 0.056 0.329 0.826
Sb3 0.415 0.639 0.703
Sb4 0.415 0.861 0.203
Sb5 0.585 0.139 0.797
Sb6 0.585 0.361 0.297
Sb7 0.944 0.671 0.174
Sb8 0.944 0.829 0.674
S1 0.151 0.551 0.385
S2 0.151 0.949 0.885
S3 0.168 0.718 0.357
S4 0.168 0.782 0.857
S5 0.189 0.667 0.536
S6 0.189 0.833 0.036
S7 0.208 0.209 0.600
S8 0.208 0.291 0.100
S9 0.368 0.111 0.609
S10 0.368 0.389 0.109
S11 0.376 0.219 0.090
S12 0.376 0.281 0.590
S13 0.624 0.719 0.410
S14 0.624 0.781 0.910
S15 0.632 0.611 0.891
S16 0.632 0.889 0.391
S17 0.792 0.709 0.900
S18 0.792 0.791 0.400
S19 0.811 0.167 0.964
S20 0.811 0.333 0.464
S21 0.832 0.218 0.143
S22 0.832 0.282 0.643
S23 0.849 0.051 0.115
S24 0.849 0.449 0.615
N1 0.153 0.563 0.490
N2 0.153 0.937 0.990
N3 0.192 0.745 0.457
N4 0.192 0.755 0.957
N5 0.267 0.112 0.625
N6 0.267 0.388 0.125
N7 0.275 0.204 0.082
N8 0.275 0.296 0.582
N9 0.725 0.704 0.418
N10 0.725 0.796 0.918
N11 0.733 0.612 0.875
N12 0.733 0.888 0.375
N13 0.808 0.245 0.043
N14 0.808 0.255 0.543
N15 0.847 0.063 0.010
N16 0.847 0.437 0.510
Cl1 0.021 0.176 0.746
Cl2 0.021 0.324 0.246
Cl3 0.034 0.238 0.964
Cl4 0.034 0.262 0.464
Cl5 0.072 0.085 0.186
Cl6 0.072 0.415 0.686
Cl7 0.089 0.021 0.408
Cl8 0.089 0.479 0.908
Cl9 0.098 0.625 0.176
Cl10 0.098 0.875 0.676
Cl11 0.207 0.218 0.330
Cl12 0.207 0.282 0.830
Cl13 0.274 0.575 0.740
Cl14 0.274 0.925 0.240
Cl15 0.275 0.001 0.846
Cl16 0.275 0.499 0.346
Cl17 0.349 0.702 0.159
Cl18 0.349 0.798 0.659
Cl19 0.389 0.060 0.479
Cl20 0.389 0.440 0.979
Cl21 0.397 0.578 0.552
Cl22 0.397 0.922 0.052
Cl23 0.432 0.702 0.856
Cl24 0.432 0.798 0.356
Cl25 0.444 0.205 0.830
Cl26 0.444 0.295 0.330
Cl27 0.479 0.019 0.247
Cl28 0.479 0.481 0.747
Cl29 0.521 0.519 0.253
Cl30 0.521 0.981 0.753
Cl31 0.556 0.705 0.670
Cl32 0.556 0.795 0.170
Cl33 0.568 0.202 0.644
Cl34 0.568 0.298 0.144
Cl35 0.603 0.078 0.948
Cl36 0.603 0.422 0.448
Cl37 0.611 0.560 0.021
Cl38 0.611 0.940 0.521
Cl39 0.651 0.202 0.341
Cl40 0.651 0.298 0.841
Cl41 0.725 0.501 0.654
Cl42 0.725 0.999 0.154
Cl43 0.726 0.075 0.760
Cl44 0.726 0.425 0.260
Cl45 0.793 0.718 0.170
Cl46 0.793 0.782 0.670
Cl47 0.902 0.125 0.324
Cl48 0.902 0.375 0.824
Cl49 0.911 0.521 0.092
Cl50 0.911 0.979 0.592
Cl51 0.928 0.585 0.314
Cl52 0.928 0.915 0.814
Cl53 0.966 0.738 0.536
Cl54 0.966 0.762 0.036
Cl55 0.979 0.676 0.754
Cl56 0.979 0.824 0.254

# PBE SbSNCl5, optimized geometry
# Raw total energy, eV/atom: -3.60
# Space group: I-42d
# Spin magnetization, μB/cell: 0.002
data_SbSNCl5
_chemical_formula_sum 'Sb8 S8 N8 Cl40'
_cell_length_a 13.738
_cell_length_b 13.738
_cell_length_c 13.738
_cell_angle_alpha 111.41
_cell_angle_beta 111.41
_cell_angle_gamma 105.66
_space_group_name_H-M_alt 'P 1'
_space_group_IT_number 1
_space_group_name_Hall 'P 1'
loop_
_atom_site_label
_atom_site_fract_x
_atom_site_fract_y
_atom_site_fract_z
Sb1 0.335 0.625 0.210
Sb2 0.375 0.145 0.270
Sb3 0.375 0.585 0.710
Sb4 0.415 0.125 0.790
Sb5 0.855 0.125 0.230
Sb6 0.875 0.105 0.730
Sb7 0.875 0.665 0.290
Sb8 0.895 0.625 0.770
S1 0.100 0.687 0.068
S2 0.131 0.563 0.913
S3 0.313 0.381 0.413
S4 0.437 0.350 0.568
S5 0.619 0.032 0.932
S6 0.650 0.218 0.087
S7 0.782 0.869 0.432
S8 0.968 0.900 0.587
N1 0.044 0.625 0.919
N2 0.187 0.625 0.062
N3 0.375 0.294 0.419
N4 0.375 0.437 0.562
N5 0.563 0.125 0.938
N6 0.706 0.125 0.081
N7 0.875 0.813 0.438
N8 0.875 0.956 0.581
Cl1 0.007 0.125 0.382
Cl2 0.040 0.808 0.826
Cl3 0.043 0.709 0.468
Cl4 0.063 0.120 0.846
Cl5 0.184 0.465 0.184
Cl6 0.192 0.018 0.232
Cl7 0.215 0.434 0.684
Cl8 0.241 0.575 0.532
Cl9 0.263 0.125 0.638
Cl10 0.273 0.216 0.154
Cl11 0.282 0.001 0.816
Cl12 0.291 0.759 0.334
Cl13 0.325 0.491 0.032
Cl14 0.375 0.737 0.862
Cl15 0.375 0.993 0.118
Cl16 0.425 0.957 0.666
Cl17 0.459 0.293 0.968
Cl18 0.468 0.785 0.219
Cl19 0.477 0.130 0.443
Cl20 0.487 0.625 0.362
Cl21 0.509 0.541 0.834
Cl22 0.535 0.718 0.719
Cl23 0.558 0.290 0.326
Cl24 0.566 0.249 0.781
Cl25 0.687 0.034 0.557
Cl26 0.707 0.675 0.166
Cl27 0.710 0.036 0.268
Cl28 0.743 0.625 0.618
Cl29 0.751 0.532 0.316
Cl30 0.768 0.442 0.732
Cl31 0.784 0.937 0.057
Cl32 0.786 0.960 0.768
Cl33 0.870 0.313 0.346
Cl34 0.875 0.257 0.882
Cl35 0.875 0.513 0.138
Cl36 0.880 0.727 0.943
Cl37 0.964 0.232 0.674
Cl38 0.966 0.523 0.654
Cl39 0.982 0.214 0.174
Cl40 0.999 0.816 0.281

# PBE SbS5N5Cl6, optimized geometry
# Raw total energy, eV/atom: -4.55
# Space group: Fdd2
# Spin magnetization, μB/cell: 0.023
data_SbS5N5Cl6
_chemical_formula_sum 'Sb4 S20 N20 Cl24'
_cell_length_a 25.189
_cell_length_b 10.023
_cell_length_c 26.574
_cell_angle_alpha 71.15
_cell_angle_beta 22.12
_cell_angle_gamma 86.73
_space_group_name_H-M_alt 'P 1'
_space_group_IT_number 1
_space_group_name_Hall 'P 1'
loop_
_atom_site_label
_atom_site_fract_x
_atom_site_fract_y
_atom_site_fract_z
Sb1 0.100 0.900 0.277
Sb2 0.527 0.973 0.350
Sb3 0.900 0.100 0.723
Sb4 0.973 0.527 0.150
S1 0.136 0.208 0.744
S2 0.186 0.804 0.390
S3 0.208 0.136 0.912
S4 0.240 0.813 0.450
S5 0.315 0.481 0.723
S6 0.338 0.506 0.042
S7 0.362 0.489 0.422
S8 0.481 0.315 0.481
S9 0.489 0.362 0.727
S10 0.506 0.338 0.114
S11 0.523 0.828 0.761
S12 0.527 0.769 0.935
S13 0.629 0.860 0.446
S14 0.753 0.800 0.437
S15 0.769 0.527 0.769
S16 0.800 0.753 0.010
S17 0.804 0.186 0.621
S18 0.813 0.240 0.497
S19 0.828 0.523 0.888
S20 0.860 0.629 0.064
N1 0.021 0.661 0.672
N2 0.216 0.334 0.610
N3 0.221 0.273 0.846
N4 0.273 0.221 0.660
N5 0.295 0.868 0.337
N6 0.334 0.216 0.840
N7 0.404 0.590 0.029
N8 0.410 0.640 0.916
N9 0.476 0.636 0.600
N10 0.578 0.604 0.229
N11 0.590 0.404 0.977
N12 0.604 0.578 0.589
N13 0.636 0.476 0.287
N14 0.640 0.410 0.034
N15 0.650 0.963 0.774
N16 0.661 0.021 0.646
N17 0.751 0.913 0.382
N18 0.868 0.295 0.499
N19 0.913 0.751 0.955
N20 0.963 0.650 0.614
Cl1 0.049 0.680 0.146
Cl2 0.088 0.671 0.361
Cl3 0.104 0.124 0.201
Cl4 0.124 0.104 0.570
Cl5 0.153 0.439 0.023
Cl6 0.161 0.422 0.425
Cl7 0.227 0.865 0.097
Cl8 0.228 0.684 0.613
Cl9 0.257 0.825 0.828
Cl10 0.371 0.889 0.579
Cl11 0.422 0.161 0.993
Cl12 0.439 0.153 0.385
Cl13 0.620 0.795 0.311
Cl14 0.637 0.775 0.022
Cl15 0.671 0.088 0.879
Cl16 0.680 0.049 0.126
Cl17 0.684 0.228 0.475
Cl18 0.775 0.637 0.566
Cl19 0.795 0.620 0.273
Cl20 0.825 0.257 0.089
Cl21 0.865 0.227 0.811
Cl22 0.889 0.371 0.162
Cl23 0.939 0.977 0.630
Cl24 0.977 0.939 0.455

Question: Number 6 is which compound?
Answer: SbS5N5Cl6

Question: Which of these has the highest raw total energy?
Answer: SbS2NCl6

Question: Look up the raw total energy of the first one.
Answer: -4.43 eV/atom